(1)
# Ba6Li2Ti16O39 PBE relaxed
data_Ba6Li2Ti16O39
_space_group_name_H-M_alt 'C 1 2/m 1'
_space_group_IT_number 12
_cell_length_a 15.326
_cell_length_b 11.813
_cell_length_c 9.198
_cell_angle_alpha 90.00
_cell_angle_beta 98.73
_cell_angle_gamma 90.00
loop_
_space_group_symop_operation_xyz
'x,y,z'
'-x,-y,-z'
'-x,y,-z'
'x,-y,z'
'x+1/2,y+1/2,z'
'-x+1/2,-y+1/2,-z'
'-x+1/2,y+1/2,-z'
'x+1/2,-y+1/2,z'
loop_
_atom_site_label
_atom_site_type_symbol
_atom_site_fract_x
_atom_site_fract_y
_atom_site_fract_z
Ba1 Ba 0.051 0.000 0.272
Ba2 Ba 0.053 0.339 0.268
Li1 Li 0.239 0.500 0.269
Ti1 Ti 0.121 0.161 0.597
Ti2 Ti 0.122 0.500 0.586
Ti3 Ti 0.166 0.500 0.944
Ti4 Ti 0.171 0.161 0.937
Ti5 Ti 0.243 0.169 0.270
O1 O 0.000 0.172 0.500
O2 O 0.000 0.500 0.500
O3 O 0.072 0.165 0.797
O4 O 0.072 0.500 0.799
O5 O 0.120 0.500 0.108
O6 O 0.123 0.000 0.602
O7 O 0.133 0.168 0.118
O8 O 0.137 0.332 0.615
O9 O 0.162 0.500 0.418
O10 O 0.169 0.167 0.414
O11 O 0.198 0.000 0.937
O12 O 0.202 0.333 0.930
O13 O 0.236 0.172 0.742
O14 O 0.239 0.500 0.738
# **Total magnetic moment**: 0.0 μB/f.u.
# **E_tot**: -1052.340 eV per cell
# **Corrected total energy (MP2020 scheme)**: -552.96 eV/f.u.
# **DFT formation energy**: -21065.9 kJ/mol of formula units

---

(2)
# Li2SnIr PBE relaxed
data_Li2SnIr
_space_group_name_H-M_alt 'F -4 3 m'
_space_group_IT_number 216
_space_group_name_Hall 'F -4 2 3'
_cell_length_a 6.288
_cell_length_b 6.288
_cell_length_c 6.288
_cell_angle_alpha 90.00
_cell_angle_beta 90.00
_cell_angle_gamma 90.00
loop_
_atom_site_label
_atom_site_type_symbol
_atom_site_fract_x
_atom_site_fract_y
_atom_site_fract_z
Li1 Li 0.000 0.000 0.000
Li2 Li 0.250 0.250 0.250
Sn1 Sn 0.000 0.000 0.500
Ir1 Ir 0.250 0.250 0.750
# **E_tot**: -73.278 eV per cell
# **DFT formation energy**: -159.6 kJ/mol of formula units

---

Copy entry 1 word for word.
# Ba6Li2Ti16O39 PBE relaxed
data_Ba6Li2Ti16O39
_space_group_name_H-M_alt 'C 1 2/m 1'
_space_group_IT_number 12
_cell_length_a 15.326
_cell_length_b 11.813
_cell_length_c 9.198
_cell_angle_alpha 90.00
_cell_angle_beta 98.73
_cell_angle_gamma 90.00
loop_
_space_group_symop_operation_xyz
'x,y,z'
'-x,-y,-z'
'-x,y,-z'
'x,-y,z'
'x+1/2,y+1/2,z'
'-x+1/2,-y+1/2,-z'
'-x+1/2,y+1/2,-z'
'x+1/2,-y+1/2,z'
loop_
_atom_site_label
_atom_site_type_symbol
_atom_site_fract_x
_atom_site_fract_y
_atom_site_fract_z
Ba1 Ba 0.051 0.000 0.272
Ba2 Ba 0.053 0.339 0.268
Li1 Li 0.239 0.500 0.269
Ti1 Ti 0.121 0.161 0.597
Ti2 Ti 0.122 0.500 0.586
Ti3 Ti 0.166 0.500 0.944
Ti4 Ti 0.171 0.161 0.937
Ti5 Ti 0.243 0.169 0.270
O1 O 0.000 0.172 0.500
O2 O 0.000 0.500 0.500
O3 O 0.072 0.165 0.797
O4 O 0.072 0.500 0.799
O5 O 0.120 0.500 0.108
O6 O 0.123 0.000 0.602
O7 O 0.133 0.168 0.118
O8 O 0.137 0.332 0.615
O9 O 0.162 0.500 0.418
O10 O 0.169 0.167 0.414
O11 O 0.198 0.000 0.937
O12 O 0.202 0.333 0.930
O13 O 0.236 0.172 0.742
O14 O 0.239 0.500 0.738
# **Total magnetic moment**: 0.0 μB/f.u.
# **E_tot**: -1052.340 eV per cell
# **Corrected total energy (MP2020 scheme)**: -552.96 eV/f.u.
# **DFT formation energy**: -21065.9 kJ/mol of formula units